Record 1
Sm2Ga9Rh3 (r2SCAN, relaxed); SG = No. 63
1.0
6.4981 -3.7788 0.0000
6.4981 3.7788 0.0000
0.0000 0.0000 9.5530
Sm Ga Rh
4 18 6
direct
0.0023 0.6693 0.7500
0.3307 0.9977 0.7500
0.6693 0.0023 0.2500
0.9977 0.3307 0.2500
0.0035 0.6653 0.0767
0.0035 0.6653 0.4233
0.1296 0.8704 0.2500
0.3354 0.6646 0.5616
0.3354 0.6646 0.9384
0.3347 0.9965 0.0767
0.3347 0.9965 0.4233
0.3382 0.4558 0.2500
0.4558 0.3382 0.7500
0.5442 0.6618 0.2500
0.6618 0.5442 0.7500
0.6653 0.0035 0.5767
0.6653 0.0035 0.9233
0.6646 0.3354 0.0616
0.6646 0.3354 0.4384
0.8704 0.1296 0.7500
0.9965 0.3347 0.5767
0.9965 0.3347 0.9233
0.0000 0.0000 0.0000
0.0000 0.0000 0.5000
0.3289 0.3289 0.0000
0.3289 0.3289 0.5000
0.6711 0.6711 0.0000
0.6711 0.6711 0.5000

Record 2
ThGaRh (r2SCAN, relaxed); SG = No. 189
1.0
7.2012 0.0000 0.0000
-3.6006 6.2364 0.0000
0.0000 0.0000 4.0780
Th Ga Rh
3 3 3
direct
0.0000 0.4151 0.0000
0.4151 0.0000 0.0000
0.5849 0.5849 0.0000
0.0000 0.7664 0.5000
0.2336 0.2336 0.5000
0.7664 0.0000 0.5000
0.0000 0.0000 0.0000
0.3333 0.6667 0.5000
0.6667 0.3333 0.5000

Record 3
TmGaRh2 (r2SCAN, relaxed); SG = No. 225
1.0
0.0000 3.1726 3.1726
3.1726 0.0000 3.1726
3.1726 3.1726 0.0000
Tm Ga Rh
1 1 2
direct
0.0000 0.0000 0.0000
0.5000 0.5000 0.5000
0.2500 0.2500 0.2500
0.7500 0.7500 0.7500

Record 4
UGa5Rh (r2SCAN, relaxed); SG = No. 123
1.0
4.2996 0.0000 0.0000
0.0000 4.2996 0.0000
0.0000 0.0000 6.8767
U Ga Rh
1 5 1
direct
0.0000 0.0000 0.0000
0.0000 0.5000 0.3038
0.0000 0.5000 0.6962
0.5000 0.0000 0.3038
0.5000 0.0000 0.6962
0.5000 0.5000 0.0000
0.0000 0.0000 0.5000

Record 5
U4Ga12Rh (r2SCAN, relaxed); SG = No. 229
1.0
-4.3065 4.3065 4.3065
4.3065 -4.3065 4.3065
4.3065 4.3065 -4.3065
U Ga Rh
4 12 1
direct
0.0000 0.0000 0.5000
0.0000 0.5000 0.0000
0.5000 0.0000 0.0000
0.5000 0.5000 0.5000
0.0000 0.2911 0.2911
0.0000 0.7089 0.7089
0.2500 0.5000 0.7500
0.2500 0.7500 0.5000
0.2911 0.0000 0.2911
0.2911 0.2911 0.0000
0.5000 0.2500 0.7500
0.5000 0.7500 0.2500
0.7089 0.0000 0.7089
0.7089 0.7089 0.0000
0.7500 0.2500 0.5000
0.7500 0.5000 0.2500
0.0000 0.0000 0.0000

Record 6
YGaRh (r2SCAN, relaxed); SG = No. 62
1.0
6.8045 0.0000 0.0000
0.0000 4.3170 0.0000
0.0000 0.0000 7.6977
Y Ga Rh
4 4 4
direct
0.0251 0.2500 0.1888
0.4749 0.7500 0.6888
0.5251 0.2500 0.3112
0.9749 0.7500 0.8112
0.1564 0.2500 0.5688
0.3436 0.7500 0.0688
0.6564 0.2500 0.9312
0.8436 0.7500 0.4312
0.2281 0.7500 0.3901
0.2719 0.2500 0.8901
0.7281 0.7500 0.1099
0.7719 0.2500 0.6099

Record 7
Y2Ga9Rh3 (r2SCAN, relaxed); SG = No. 63
1.0
6.4681 -3.7541 0.0000
6.4681 3.7541 0.0000
0.0000 0.0000 9.4957
Y Ga Rh
4 18 6
direct
0.0021 0.6692 0.7500
0.3308 0.9979 0.7500
0.6692 0.0021 0.2500
0.9979 0.3308 0.2500
0.0023 0.6655 0.0774
0.0023 0.6655 0.4226
0.1284 0.8716 0.2500
0.3345 0.9977 0.0774
0.3345 0.9977 0.4226
0.3347 0.6653 0.5652
0.3347 0.6653 0.9348
0.3373 0.4550 0.2500
0.4550 0.3373 0.7500
0.5450 0.6627 0.2500
0.6627 0.5450 0.7500
0.6653 0.3347 0.0652
0.6653 0.3347 0.4348
0.6655 0.0023 0.5774
0.6655 0.0023 0.9226
0.8716 0.1284 0.7500
0.9977 0.3345 0.5774
0.9977 0.3345 0.9226
0.0000 0.0000 0.0000
0.0000 0.0000 0.5000
0.3285 0.3285 0.0000
0.3285 0.3285 0.5000
0.6715 0.6715 0.0000
0.6715 0.6715 0.5000

Record 8
ZnGaRh2 (r2SCAN, relaxed); SG = No. 225
1.0
0.0000 2.9915 2.9915
2.9915 0.0000 2.9915
2.9915 2.9915 0.0000
Zn Ga Rh
1 1 2
direct
0.0000 0.0000 0.0000
0.5000 0.5000 0.5000
0.2500 0.2500 0.2500
0.7500 0.7500 0.7500

Record 9
Ga2Ru (r2SCAN, relaxed); SG = No. 70
1.0
0.0000 4.0947 4.3448
2.3634 0.0000 4.3448
2.3634 4.0947 0.0000
Ga Ru
4 2
direct
0.0441 0.7059 0.0441
0.2941 0.9559 0.2941
0.7059 0.0441 0.7059
0.9559 0.2941 0.9559
0.3750 0.3750 0.3750
0.6250 0.6250 0.6250

Record 10
Ga3Ru (r2SCAN, relaxed); SG = No. 136
1.0
6.4654 0.0000 0.0000
0.0000 6.4654 0.0000
0.0000 0.0000 6.7311
Ga Ru
12 4
direct
0.0000 0.5000 0.0000
0.0000 0.5000 0.5000
0.1543 0.1543 0.2345
0.1543 0.1543 0.7655
0.3457 0.6543 0.2655
0.3457 0.6543 0.7345
0.5000 0.0000 0.0000
0.5000 0.0000 0.5000
0.6543 0.3457 0.2655
0.6543 0.3457 0.7345
0.8457 0.8457 0.2345
0.8457 0.8457 0.7655
0.1598 0.8402 0.0000
0.3402 0.3402 0.5000
0.6598 0.6598 0.5000
0.8402 0.1598 0.0000

Record 11
ScGa2Ru (r2SCAN, relaxed); SG = No. 225
1.0
0.0000 3.1287 3.1287
3.1287 0.0000 3.1287
3.1287 3.1287 0.0000
Sc Ga Ru
1 2 1
direct
0.0000 0.0000 0.0000
0.2500 0.2500 0.2500
0.7500 0.7500 0.7500
0.5000 0.5000 0.5000

Record 12
Sc6Ga16Ru7 (r2SCAN, relaxed); SG = No. 225
1.0
0.0000 6.1684 6.1684
6.1684 0.0000 6.1684
6.1684 6.1684 0.0000
Sc Ga Ru
6 16 7
direct
0.2255 0.2255 0.7745
0.2255 0.7745 0.2255
0.2255 0.7745 0.7745
0.7745 0.2255 0.2255
0.7745 0.2255 0.7745
0.7745 0.7745 0.2255
0.1256 0.6248 0.6248
0.1550 0.1550 0.1550
0.1550 0.1550 0.5350
0.1550 0.5350 0.1550
0.3752 0.3752 0.3752
0.3752 0.3752 0.8744
0.3752 0.8744 0.3752
0.4650 0.8450 0.8450
0.5350 0.1550 0.1550
0.6248 0.1256 0.6248
0.6248 0.6248 0.1256
0.6248 0.6248 0.6248
0.8450 0.4650 0.8450
0.8450 0.8450 0.4650
0.8450 0.8450 0.8450
0.8744 0.3752 0.3752
0.0000 0.0000 0.5000
0.0000 0.5000 0.0000
0.0000 0.5000 0.5000
0.5000 0.0000 0.0000
0.5000 0.0000 0.5000
0.5000 0.5000 0.0000
0.5000 0.5000 0.5000

no.,VASP energy (eV per formula unit),calculated formation energy (eV/atom),theoretical density (g/cm³)
1,-245.75,-0.78,8.756
2,-111.94,-0.96,11.007
3,-98.64,-0.95,11.556
4,-165.06,-0.54,9.007
5,-489.52,-0.49,9.832
6,-58.74,-0.95,7.682
7,-226.80,-0.77,8.023
8,-71.30,-0.67,10.574
9,-49.64,-0.44,9.499
10,-61.35,-0.40,7.324
11,-61.93,-0.55,7.739
12,-445.64,-0.56,7.403